The following is a DFT calculation (PBE) of a geometry-optimized Ba2EuNbO6 structure.

Cell lengths 6.108, 6.108, 6.108 Å; angles 60.00, 60.00, 60.00 degrees
Element x y z (fractional)
Ba  0.750  0.750  0.750
Ba  0.250  0.250  0.250
Eu  0.500  0.500  0.500
Nb  0.000  0.000  0.000
O  0.766  0.234  0.234
O  0.234  0.766  0.234
O  0.766  0.234  0.766
O  0.766  0.766  0.234
O  0.234  0.766  0.766
O  0.234  0.234  0.766

Computed properties:
Symmetry: Fm-3m
Magnetization, μB per formula unit: 6.00
Formation energy, kJ/mol of atoms: -310
V, Å³/atom: 16.1
Energy, hartree per atom: -0.3010